# 1
A geometry-optimized KBaFe4Se6 structure. Source: Materials Project, functional GGA-PBE.

Geometry as POSCAR:
```
KBaFe4Se6
1.0
-2.1524 -0.1777 -5.0162
-4.0007 -8.0561 2.0021
-9.8716 5.9030 4.0267
K Ba Fe Se
2 2 8 12
direct
0.0000 0.7513 0.6725
0.0000 0.2487 0.1725
0.5000 0.7520 0.3262
0.5000 0.2480 0.8262
0.7483 0.8896 0.9976
0.2517 0.1104 0.4976
0.2545 0.6106 0.0020
0.7455 0.3894 0.5020
0.7455 0.6106 0.0020
0.2545 0.3894 0.5020
0.2517 0.8896 0.9976
0.7483 0.1104 0.4976
0.0000 0.4564 0.8900
0.0000 0.5436 0.3900
0.5000 0.0391 0.1118
0.5000 0.9609 0.6118
0.0000 0.0307 0.8755
0.0000 0.9693 0.3755
0.5000 0.4751 0.1260
0.5000 0.5249 0.6260
0.0000 0.7520 0.1290
0.0000 0.2480 0.6290
0.5000 0.7481 0.8699
0.5000 0.2519 0.3699
```

Calculated values
Energy of formation = -85.3 kJ per mole of atoms
Calculated density = 4.73 g cm⁻³
Calculated volume = 25.6 Å³ per atom



# 2
A geometry-optimized Sc2Te3 structure. Source: Materials Project, functional GGA-PBE.

Geometry as POSCAR:
```
Sc2Te3
1.0
-1.3861 -5.4823 4.2659
6.2828 0.3429 -3.2563
3.5105 8.6685 10.2836
Sc Te
8 12
direct
0.0000 0.0000 0.0000
0.6697 0.3346 0.0000
0.3303 0.6654 0.0000
0.0822 0.7485 0.2463
0.1679 0.8345 0.5037
0.8321 0.1655 0.4963
0.9178 0.2515 0.7537
0.5000 0.5000 0.5000
0.1269 0.1247 0.3740
0.2928 0.2906 0.8751
0.7932 0.4619 0.3737
0.9568 0.6257 0.8739
0.4562 0.7894 0.3741
0.6238 0.9570 0.8746
0.3762 0.0430 0.1254
0.5438 0.2106 0.6259
0.0432 0.3743 0.1261
0.2068 0.5381 0.6263
0.7072 0.7094 0.1249
0.8731 0.8753 0.6260
```

Calculated values
Energy of formation = -142.8 kJ per mole of atoms
Calculated density = 5.23 g cm⁻³
Calculated volume = 30.0 Å³ per atom



# 3
A geometry-optimized Ti2As4W3 structure. Source: Materials Project, functional GGA-PBE.

Geometry as POSCAR:
```
Ti2As4W3
1.0
-4.5265 -5.1203 1.5374
-2.2063 -5.3380 3.9634
-6.9361 -0.8306 6.5591
Ti As W
2 4 3
direct
0.9985 0.9985 0.0025
0.6330 0.6330 0.6698
0.7137 0.7137 0.3411
0.2800 0.2800 0.6661
0.0541 0.0541 0.2332
0.9457 0.9457 0.7721
0.3734 0.3734 0.3191
0.3052 0.3052 0.0631
0.6964 0.6964 0.9331
```

Calculated values
Energy of formation = -35.9 kJ per mole of atoms
E above lowest polymorph = 0.49 eV per formula unit
Calculated density = 10.07 g cm⁻³
Calculated volume = 17.3 Å³ per atom



# 4
A geometry-optimized Li2IrO3 structure. Source: Materials Project, functional GGA-PBE.

Geometry as POSCAR:
```
Li2IrO3
1.0
9.7035 -1.7196 1.3130
8.7546 3.3319 1.5232
0.8584 -1.7735 4.7519
Li Ir O
8 4 12
direct
0.0807 0.0807 0.9193
0.9193 0.9193 0.0807
0.1693 0.1693 0.3307
0.3307 0.3307 0.1693
0.2491 0.2491 0.7509
0.7509 0.7509 0.2491
0.0009 0.0009 0.4991
0.4991 0.4991 0.0009
0.4153 0.4153 0.5847
0.5847 0.5847 0.4153
0.8347 0.8347 0.6653
0.6653 0.6653 0.8347
0.2667 0.7333 0.7333
0.7333 0.2667 0.2667
0.9833 0.5167 0.5167
0.5167 0.9833 0.9833
0.8265 0.3438 0.6612
0.1685 0.6612 0.3438
0.6612 0.1685 0.8265
0.3438 0.8265 0.1685
0.4235 0.9062 0.5888
0.0815 0.5888 0.9062
0.5888 0.0815 0.4235
0.9062 0.4235 0.0815
```

Calculated values
Energy of formation = -166.9 kJ per mole of atoms
Calculated density = 7.50 g cm⁻³
Calculated volume = 9.4 Å³ per atom



# 5
A geometry-optimized Fe5Si2B structure. Source: Materials Project, functional GGA-PBE.

Geometry as POSCAR:
```
Fe5Si2B
1.0
0.0000 0.0000 4.4168
-4.3483 4.3483 2.2084
-4.3483 -4.3483 2.2084
Fe Si B
10 4 2
direct
0.7080 0.8639 0.7201
0.2920 0.1361 0.2799
0.7920 0.2799 0.1361
0.2080 0.7201 0.8639
0.5719 0.7201 0.1361
0.4281 0.2799 0.8639
0.0719 0.1361 0.7201
0.9281 0.8639 0.2799
0.7500 0.5000 0.5000
0.2500 0.5000 0.5000
0.1670 0.5000 0.1659
0.8330 0.5000 0.8341
0.3330 0.8341 0.5000
0.6670 0.1659 0.5000
0.2500 0.0000 0.0000
0.7500 0.0000 0.0000
```

Calculated values
Energy of formation = -33.6 kJ per mole of atoms
Calculated density = 6.88 g cm⁻³
Calculated volume = 10.4 Å³ per atom



# 6
A geometry-optimized Mn27Sb26 structure. Source: Materials Project, functional GGA-PBE.

Geometry as POSCAR:
```
Mn27Sb26
1.0
-2.0727 6.9479 -6.8219
-8.0804 -6.8367 -2.0051
-1.0603 4.0592 11.2126
Mn Sb
27 26
direct
0.0024 0.9994 0.9987
0.4616 0.0762 0.2304
0.5012 0.9985 0.9993
0.9233 0.1532 0.4612
0.9608 0.0769 0.2272
0.4217 0.1527 0.4605
0.3842 0.2299 0.6932
0.8483 0.3154 0.9263
0.8858 0.2342 0.6911
0.3096 0.3850 0.1543
0.3486 0.3068 0.9234
0.8082 0.3843 0.1546
0.7677 0.4629 0.3854
0.2268 0.5368 0.6148
0.2651 0.4580 0.3807
0.6915 0.6127 0.8436
0.7297 0.5369 0.6164
0.1562 0.6900 0.0809
0.1949 0.6136 0.8450
0.6178 0.7697 0.3094
0.6523 0.6944 0.0753
0.0737 0.8465 0.5382
0.1170 0.7691 0.3092
0.5348 0.9200 0.7658
0.5769 0.8489 0.5414
0.7640 0.8098 0.7573
0.0385 0.9255 0.7728
0.6472 0.0402 0.4491
0.8174 0.0575 0.7850
0.1086 0.1171 0.6799
0.2771 0.1144 0.0134
0.5723 0.1926 0.9102
0.7380 0.1908 0.2443
0.0323 0.2705 0.1383
0.1982 0.2660 0.4740
0.4930 0.3463 0.3718
0.6581 0.3440 0.7037
0.9538 0.4234 0.6014
0.1254 0.4216 0.9359
0.4167 0.4999 0.8315
0.5839 0.4986 0.1656
0.8769 0.5808 0.0655
0.0436 0.5756 0.3973
0.3427 0.6557 0.2976
0.4891 0.6415 0.6191
0.8001 0.7348 0.5322
0.9808 0.7228 0.8660
0.2600 0.8090 0.7558
0.4288 0.8060 0.0904
0.7251 0.8837 0.9805
0.8926 0.8852 0.3207
0.1858 0.9620 0.2183
0.3525 0.9606 0.5521
```

Calculated values
Energy of formation = -10.7 kJ per mole of atoms
Calculated density = 7.29 g cm⁻³
Calculated volume = 20.0 Å³ per atom



# 7
A geometry-optimized Os3Cl structure. Source: Materials Project, functional GGA-PBE.

Geometry as POSCAR:
```
Os3Cl
1.0
0.0000 3.1052 3.1052
3.1052 0.0000 3.1052
3.1052 3.1052 0.0000
Os Cl
3 1
direct
0.7500 0.7500 0.7500
0.2500 0.2500 0.2500
0.5000 0.5000 0.5000
0.0000 0.0000 0.0000
```

Calculated values
Energy of formation = 110.9 kJ per mole of atoms
Calculated density = 16.81 g cm⁻³
Calculated volume = 15.0 Å³ per atom



# 8
A geometry-optimized ErSnGe structure. Source: Materials Project, functional GGA-PBE.

Geometry as POSCAR:
```
ErSnGe
1.0
-2.7217 6.3042 4.6348
1.4562 -3.3516 -7.4349
-3.7787 -1.6262 -0.0070
Er Sn Ge
2 2 2
direct
0.9069 0.0931 0.7500
0.0931 0.9069 0.2500
0.2531 0.7469 0.7500
0.7469 0.2531 0.2500
0.5561 0.4439 0.7500
0.4439 0.5561 0.2500
```

Calculated values
Energy of formation = -57.9 kJ per mole of atoms
Calculated density = 8.49 g cm⁻³
Calculated volume = 23.4 Å³ per atom



# 9
A geometry-optimized GdMgIn structure. Source: Materials Project, functional GGA-PBE.

Geometry as POSCAR:
```
GdMgIn
1.0
-2.3643 0.7134 -7.2137
-4.9968 -1.7159 5.4976
-0.7966 4.6201 0.7180
Gd Mg In
3 3 3
direct
0.0000 0.4348 0.0000
0.5652 0.5652 0.0000
0.4348 0.0000 0.0000
0.0000 0.7594 0.5000
0.2406 0.2406 0.5000
0.7594 0.0000 0.5000
0.3333 0.6667 0.5000
0.6667 0.3333 0.5000
0.0000 0.0000 0.0000
```

Calculated values
Energy of formation = -38.5 kJ per mole of atoms
Calculated density = 6.18 g cm⁻³
Calculated volume = 26.5 Å³ per atom



# 10
A geometry-optimized CaTi3P4O14 structure. Source: Materials Project, functional GGA-PBE.

Geometry as POSCAR:
```
CaTi3P4O14
1.0
-6.8876 3.2615 0.0922
-2.4720 -5.3561 4.8033
1.4519 2.8062 9.1971
Ca Ti P O
2 6 8 28
direct
0.0000 0.5000 0.0000
0.5000 0.5000 0.5000
0.1515 0.8229 0.5209
0.6515 0.1771 0.9791
0.8485 0.1771 0.4791
0.3485 0.8229 0.0209
0.0000 0.0000 0.0000
0.5000 0.0000 0.5000
0.9401 0.4109 0.6999
0.4401 0.5891 0.8001
0.0599 0.5891 0.3001
0.5599 0.4109 0.1999
0.2055 0.1289 0.6827
0.7055 0.8711 0.8173
0.7945 0.8711 0.3173
0.2945 0.1289 0.1827
0.3810 0.1811 0.6023
0.8810 0.8189 0.8977
0.6190 0.8189 0.3977
0.1190 0.1811 0.1023
0.3978 0.7018 0.6367
0.8978 0.2982 0.8633
0.6022 0.2982 0.3633
0.1022 0.7018 0.1367
0.8037 0.3784 0.5952
0.3037 0.6216 0.9048
0.1963 0.6216 0.4048
0.6963 0.3784 0.0952
0.1257 0.3295 0.6679
0.6257 0.6705 0.8321
0.8743 0.6705 0.3321
0.3743 0.3295 0.1679
0.5146 0.6119 0.1836
0.0146 0.3881 0.3164
0.4854 0.3881 0.8164
0.9854 0.6119 0.6836
0.7872 0.9785 0.1514
0.2872 0.0215 0.3486
0.2128 0.0215 0.8486
0.7128 0.9785 0.6514
0.4218 0.0359 0.1061
0.9218 0.9641 0.3939
0.5782 0.9641 0.8939
0.0782 0.0359 0.6061
```

Calculated values
Energy of formation = -268.1 kJ per mole of atoms
Calculated density = 3.34 g cm⁻³
Calculated volume = 12.0 Å³ per atom



# 11
A geometry-optimized Co2As structure. Source: Materials Project, functional GGA-PBE.

Geometry as POSCAR:
```
Co2As
1.0
5.9490 -10.3039 0.0000
5.9490 10.3039 0.0000
0.0000 0.0000 3.5819
Co As
24 12
direct
0.3124 0.0000 0.0000
0.6876 0.6876 0.0000
0.0000 0.3124 0.0000
0.7968 0.0000 0.0000
0.2032 0.2032 0.0000
0.0000 0.7968 0.0000
0.1725 0.5437 0.5000
0.3713 0.8275 0.5000
0.4563 0.6287 0.5000
0.6287 0.4563 0.5000
0.8275 0.3713 0.5000
0.5437 0.1725 0.5000
0.1279 0.0000 0.5000
0.8721 0.8721 0.5000
0.0000 0.1279 0.5000
0.6280 0.0000 0.5000
0.3720 0.3720 0.5000
0.0000 0.6280 0.5000
0.1753 0.7187 0.0000
0.5434 0.8247 0.0000
0.2813 0.4566 0.0000
0.4566 0.2813 0.0000
0.8247 0.5434 0.0000
0.7187 0.1753 0.0000
0.0000 0.0000 0.0000
0.5028 0.0000 0.0000
0.4972 0.4972 0.0000
0.0000 0.5028 0.0000
0.3363 0.1585 0.5000
0.8222 0.6637 0.5000
0.8415 0.1778 0.5000
0.1778 0.8415 0.5000
0.6637 0.8222 0.5000
0.1585 0.3363 0.5000
0.3333 0.6667 0.0000
0.6667 0.3333 0.0000
```

Calculated values
Energy of formation = -13.6 kJ per mole of atoms
Calculated density = 8.75 g cm⁻³
Calculated volume = 12.2 Å³ per atom



# 12
A geometry-optimized Ba4GaB10H7O24 structure. Source: Materials Project, functional GGA-PBE.

Geometry as POSCAR:
```
Ba4GaB10H7O24
1.0
-4.6455 5.0042 2.0171
-2.1008 -6.7681 -0.6860
2.9655 -4.4854 22.3268
Ba Ga B H O
8 2 20 14 48
direct
0.3953 0.2199 0.9262
0.2199 0.3953 0.4262
0.7418 0.8995 0.8129
0.8995 0.7418 0.3129
0.5870 0.1971 0.5604
0.1971 0.5870 0.0604
0.0610 0.5865 0.6945
0.5865 0.0610 0.1945
0.8647 0.9133 0.0443
0.9133 0.8647 0.5443
0.9129 0.7225 0.9385
0.7225 0.9129 0.4385
0.9205 0.5106 0.8535
0.5106 0.9205 0.3535
0.2277 0.6674 0.9096
0.6674 0.2277 0.4096
0.2497 0.8798 0.8121
0.8798 0.2497 0.3121
0.3187 0.2740 0.7831
0.2740 0.3187 0.2831
0.4776 0.1232 0.7185
0.1232 0.4776 0.2185
0.1912 0.1945 0.6837
0.1945 0.1912 0.1837
0.1775 0.2987 0.5755
0.2987 0.1775 0.0755
0.4683 0.6815 0.5815
0.6815 0.4683 0.0815
0.1121 0.6114 0.5466
0.6114 0.1121 0.0466
0.6702 0.3189 0.8032
0.3189 0.6702 0.3032
0.5205 0.7217 0.9453
0.7217 0.5205 0.4453
0.2502 0.4574 0.8382
0.4574 0.2502 0.3382
0.7094 0.0633 0.6767
0.0633 0.7094 0.1767
0.1156 0.7741 0.4660
0.7741 0.1156 0.9660
0.7279 0.7733 0.6608
0.7733 0.7279 0.1608
0.6465 0.5849 0.7144
0.5849 0.6465 0.2144
0.8254 0.8341 0.9663
0.8341 0.8254 0.4663
0.8039 0.6004 0.8940
0.6004 0.8039 0.3940
0.1088 0.7441 0.9527
0.7441 0.1088 0.4527
0.0676 0.4704 0.8862
0.4704 0.0676 0.3862
0.7535 0.3027 0.8350
0.3027 0.7535 0.3350
0.3665 0.6108 0.9441
0.6108 0.3665 0.4441
0.3547 0.8466 0.8637
0.8466 0.3547 0.3637
0.0363 0.6820 0.8045
0.6820 0.0363 0.3045
0.2138 0.0671 0.8212
0.0671 0.2138 0.3212
0.4006 0.9267 0.7579
0.9267 0.4006 0.2579
0.3787 0.4602 0.8171
0.4602 0.3787 0.3171
0.5223 0.3158 0.7496
0.3158 0.5223 0.2496
0.6847 0.1835 0.6836
0.1835 0.6847 0.1836
0.1626 0.2610 0.7380
0.2610 0.1626 0.2380
0.3108 0.0925 0.6754
0.0925 0.3108 0.1754
0.0974 0.2435 0.6392
0.2435 0.0974 0.1392
0.1698 0.1215 0.5453
0.1215 0.1698 0.0453
0.4202 0.4746 0.5720
0.4746 0.4202 0.0720
0.6765 0.8460 0.5908
0.8460 0.6765 0.0908
0.0552 0.3838 0.5470
0.3838 0.0552 0.0470
0.3061 0.7346 0.5838
0.7346 0.3061 0.0838
0.9292 0.6263 0.5718
0.6263 0.9292 0.0718
0.1942 0.7134 0.4855
0.7134 0.1942 0.9855
0.7549 0.7414 0.7015
0.7414 0.7549 0.2015
```

Calculated values
Energy of formation = -253.5 kJ per mole of atoms
Calculated density = 3.71 g cm⁻³
Calculated volume = 10.9 Å³ per atom